# 1
{
  "formula": "MgTi2Ni2O6",
  "functional": "PBE+U",
  "state": "optimized geometry",
  "lattice_angstrom": [[5.222, 0.000, 0.000], [2.601, 4.538, 0.000], [2.608, 1.504, 4.956]],
  "species": ["Mg", "Ti", "Ti", "Ni", "Ni", "O", "O", "O", "O", "O", "O"],
  "fractional_positions": [[0.000, 0.000, 0.000], [0.192, 0.195, 0.423], [0.365, 0.364, 0.905], [0.550, 0.553, 0.348], [0.777, 0.774, 0.675], [0.160, 0.385, 0.673], [0.278, 0.976, 0.169], [0.384, 0.781, 0.670], [0.577, 0.281, 0.168], [0.773, 0.168, 0.668], [0.975, 0.578, 0.167]],
  "magmom_total_mub_per_cell": 2.000,
  "e_form_ev_per_atom": -2.378,
  "volume_a3_per_fu": 117.4,
  "relative_energy_mev_per_atom": 0.1,
  "space_group": "P1, No. 1"
}

# 2
{
  "formula": "K2Cr3O9",
  "functional": "PBE+U",
  "state": "optimized geometry",
  "lattice_angstrom": [[8.226, 0.000, 0.000], [0.000, 6.003, 0.000], [-3.955, 0.000, 8.596]],
  "species": ["K", "K", "K", "K", "Cr", "Cr", "Cr", "Cr", "Cr", "Cr", "O", "O", "O", "O", "O", "O", "O", "O", "O", "O", "O", "O", "O", "O", "O", "O", "O", "O"],
  "fractional_positions": [[0.171, 0.250, 0.084], [0.231, 0.750, 0.748], [0.769, 0.250, 0.252], [0.829, 0.750, 0.916], [0.074, 0.750, 0.330], [0.460, 0.750, 0.176], [0.500, 0.000, 0.500], [0.500, 0.500, 0.500], [0.540, 0.250, 0.824], [0.926, 0.250, 0.670], [0.012, 0.530, 0.219], [0.012, 0.970, 0.219], [0.027, 0.250, 0.555], [0.249, 0.750, 0.058], [0.314, 0.750, 0.441], [0.353, 0.250, 0.433], [0.421, 0.250, 0.925], [0.491, 0.021, 0.706], [0.491, 0.479, 0.706], [0.509, 0.521, 0.294], [0.509, 0.979, 0.294], [0.579, 0.750, 0.075], [0.647, 0.750, 0.567], [0.686, 0.250, 0.559], [0.751, 0.250, 0.942], [0.973, 0.750, 0.445], [0.988, 0.030, 0.781], [0.988, 0.470, 0.781]],
  "magmom_total_mub_per_cell": 4.000,
  "e_form_ev_per_atom": -1.918,
  "volume_a3_per_fu": 212.3,
  "space_group": "P2_1/m, No. 11"
}

# 3
{
  "formula": "Tb5Mo2O12",
  "functional": "PBE+U",
  "state": "optimized geometry",
  "lattice_angstrom": [[6.212, -3.018, 0.000], [6.212, 3.018, 0.000], [-2.197, 0.000, 7.029]],
  "species": ["Tb", "Tb", "Tb", "Tb", "Tb", "Mo", "Mo", "O", "O", "O", "O", "O", "O", "O", "O", "O", "O", "O", "O"],
  "fractional_positions": [[0.000, 0.000, 0.000], [0.301, 0.301, 0.137], [0.308, 0.308, 0.673], [0.692, 0.692, 0.327], [0.699, 0.699, 0.863], [0.246, 0.754, 0.500], [0.754, 0.246, 0.500], [0.003, 0.003, 0.688], [0.096, 0.597, 0.926], [0.101, 0.567, 0.416], [0.403, 0.904, 0.074], [0.433, 0.899, 0.584], [0.500, 0.500, 0.306], [0.500, 0.500, 0.694], [0.567, 0.101, 0.416], [0.597, 0.096, 0.926], [0.899, 0.433, 0.584], [0.904, 0.403, 0.074], [0.997, 0.997, 0.312]],
  "e_form_ev_per_atom": -3.327,
  "volume_a3_per_fu": 263.5,
  "space_group": "C2/m, No. 12"
}

# 4
{
  "formula": "YCu3W6O24",
  "functional": "PBE+U",
  "state": "optimized geometry",
  "lattice_angstrom": [[6.136, 0.000, 0.000], [-2.259, 5.886, 0.000], [-0.497, -3.333, 12.757]],
  "species": ["Y", "Cu", "Cu", "Cu", "W", "W", "W", "W", "W", "W", "O", "O", "O", "O", "O", "O", "O", "O", "O", "O", "O", "O", "O", "O", "O", "O", "O", "O", "O", "O", "O", "O", "O", "O"],
  "fractional_positions": [[0.000, 0.000, 0.000], [0.163, 0.499, 0.832], [0.499, 0.500, 0.500], [0.835, 0.500, 0.168], [0.087, 0.682, 0.416], [0.259, 0.342, 0.262], [0.417, 0.683, 0.087], [0.581, 0.317, 0.913], [0.739, 0.657, 0.738], [0.911, 0.318, 0.583], [0.022, 0.680, 0.691], [0.077, 0.281, 0.699], [0.145, 0.515, 0.155], [0.146, 0.061, 0.163], [0.186, 0.485, 0.509], [0.198, 0.966, 0.497], [0.236, 0.724, 0.975], [0.306, 0.313, 0.978], [0.362, 0.683, 0.356], [0.423, 0.288, 0.368], [0.459, 0.035, 0.833], [0.473, 0.506, 0.823], [0.525, 0.493, 0.176], [0.541, 0.965, 0.169], [0.575, 0.712, 0.632], [0.636, 0.317, 0.644], [0.692, 0.689, 0.021], [0.762, 0.278, 0.025], [0.799, 0.033, 0.502], [0.812, 0.515, 0.491], [0.853, 0.938, 0.838], [0.854, 0.484, 0.844], [0.921, 0.718, 0.300], [0.977, 0.320, 0.308]],
  "magmom_total_mub_per_cell": 0.001,
  "e_form_ev_per_atom": -1.871,
  "volume_a3_per_fu": 460.8,
  "relative_energy_mev_per_atom": 7.4,
  "space_group": "P1, No. 1"
}

# 5
{
  "formula": "Li3NiOF3",
  "functional": "PBE+U",
  "state": "optimized geometry",
  "lattice_angstrom": [[-0.476, -1.407, -2.502], [-16.338, -1.554, 3.980], [-0.137, 5.082, -2.831]],
  "species": ["Li", "Li", "Ni", "Li", "Li", "F", "F", "F", "Li", "O", "Li", "F", "O", "F", "F", "Li", "Li", "F", "F", "F", "Li", "F", "Ni", "O", "Li", "Ni", "F", "F", "Li", "O", "Ni", "Li"],
  "fractional_positions": [[0.500, 0.874, 0.687], [0.500, 0.126, 0.813], [0.000, 0.000, 0.500], [0.000, 0.250, 0.625], [0.500, 0.874, 0.187], [0.500, 0.750, 0.125], [0.000, 0.370, 0.685], [0.000, 0.870, 0.435], [0.500, 0.126, 0.313], [0.500, 0.000, 0.250], [0.000, 0.750, 0.875], [0.000, 0.130, 0.565], [0.500, 0.500, 0.000], [0.000, 0.630, 0.315], [0.000, 0.870, 0.935], [0.500, 0.374, 0.437], [0.500, 0.626, 0.063], [0.500, 0.250, 0.875], [0.500, 0.250, 0.375], [0.000, 0.370, 0.185], [0.500, 0.626, 0.563], [0.000, 0.630, 0.815], [0.000, 0.500, 0.250], [0.500, 0.500, 0.500], [0.000, 0.750, 0.375], [0.000, 0.000, 0.000], [0.500, 0.750, 0.625], [0.000, 0.130, 0.065], [0.000, 0.250, 0.125], [0.500, 0.000, 0.750], [0.000, 0.500, 0.750], [0.500, 0.374, 0.937]],
  "magmom_total_mub_per_cell": 0.000,
  "e_form_ev_per_atom": -2.630,
  "volume_a3_per_fu": 70.4,
  "relative_energy_mev_per_atom": 0.0
}

# 6
{
  "formula": "CaCo2O5",
  "functional": "PBE+U",
  "state": "optimized geometry",
  "lattice_angstrom": [[3.474, 0.000, 0.000], [0.000, 11.270, 0.000], [0.000, 0.000, 5.074]],
  "species": ["Ca", "Ca", "Co", "Co", "Co", "Co", "O", "O", "O", "O", "O", "O", "O", "O", "O", "O"],
  "fractional_positions": [[0.250, 0.250, 0.123], [0.750, 0.750, 0.877], [0.250, 0.597, 0.408], [0.250, 0.903, 0.408], [0.750, 0.097, 0.592], [0.750, 0.403, 0.592], [0.250, 0.070, 0.416], [0.250, 0.430, 0.416], [0.250, 0.629, 0.084], [0.250, 0.750, 0.548], [0.250, 0.871, 0.084], [0.750, 0.129, 0.916], [0.750, 0.250, 0.452], [0.750, 0.371, 0.916], [0.750, 0.570, 0.584], [0.750, 0.930, 0.584]],
  "magmom_total_mub_per_cell": 12.000,
  "e_form_ev_per_atom": -1.615,
  "volume_a3_per_fu": 99.3,
  "relative_energy_mev_per_atom": 0.0,
  "space_group": "Pmmn, No. 59"
}